1.
An optimized crystal structure of SnO2. Source: Materials Project, functional PBE.

Space-group type: P3m1
Final energy in eV per atom: -6.0281
Total moment in μB per atom: 0.0110
Energy relative to the elements in eV/atom: -1.851

Cell and atoms, written as extended XYZ:
```
36
Lattice="6.449 0.000 0.000 -3.225 5.585 0.000 0.000 0.000 15.531" Properties=species:S:1:pos:R:3 pbc="T T T"
Sn 0.000 0.000 0.000
Sn 0.000 0.000 5.799
Sn 0.000 1.962 3.274
Sn -1.525 4.604 3.274
Sn 1.603 0.926 8.414
Sn 3.225 0.021 13.636
Sn 1.630 2.782 13.636
Sn 1.525 4.604 3.274
Sn 3.225 1.862 10.978
Sn 4.846 0.926 8.414
Sn 3.225 3.734 8.414
Sn 4.819 2.782 13.636
O 0.000 0.000 1.987
O 0.000 0.000 9.506
O -1.520 2.846 2.222
O 0.000 1.622 7.226
O -1.820 4.774 7.226
O 0.000 1.863 14.684
O -1.611 4.654 14.684
O 1.360 0.785 4.431
O 0.000 3.723 4.466
O 0.000 3.723 12.691
O 1.841 1.063 12.391
O 1.520 2.846 2.222
O 0.000 5.479 2.222
O 3.225 0.232 9.649
O 1.813 2.677 9.649
O 1.611 4.654 14.684
O 3.225 1.862 7.390
O 3.225 1.862 14.705
O 1.820 4.774 7.226
O 4.608 1.063 12.391
O 3.225 3.460 12.391
O 5.089 0.785 4.431
O 3.225 4.015 4.431
O 4.636 2.677 9.649
```

---

2.
An optimized crystal structure of Ho2Ni15B9. Source: Materials Project, functional PBE.

Space-group type: Cmce
Final energy in eV per atom: -6.4176
Total moment in μB per atom: 0.0000
Energy relative to the elements in eV/atom: -0.418

Cell and atoms, written as extended XYZ:
```
104
Lattice="7.926 -5.794 0.000 7.926 5.794 0.000 0.000 0.000 11.234" Properties=species:S:1:pos:R:3 pbc="T T T"
Ho 3.963 0.667 2.808
Ho 7.926 3.023 10.774
Ho 7.926 2.771 5.157
Ho 3.963 -0.667 8.425
Ho 11.890 0.667 2.808
Ho 7.926 -2.771 6.077
Ho 7.926 -3.023 0.460
Ho 11.890 -0.667 8.425
Ni 0.000 0.000 0.000
Ni 0.000 0.000 5.617
Ni 1.844 1.297 9.914
Ni 1.526 1.024 7.418
Ni 6.677 4.767 9.062
Ni 6.234 4.224 6.711
Ni 5.233 3.217 10.273
Ni 3.963 2.106 8.425
Ni 5.233 2.577 4.656
Ni 3.749 1.171 5.952
Ni 4.177 1.171 10.898
Ni 9.176 4.767 9.062
Ni 1.526 -1.024 3.816
Ni 1.844 -1.297 1.320
Ni 7.926 3.069 2.378
Ni 9.619 4.224 6.711
Ni 6.234 1.570 1.095
Ni 7.926 2.725 7.995
Ni 6.082 1.297 6.937
Ni 6.401 1.024 9.433
Ni 6.677 1.026 3.446
Ni 3.749 -1.171 5.281
Ni 4.177 -1.171 0.335
Ni 10.620 3.217 10.273
Ni 3.963 -2.106 2.808
Ni 10.620 2.577 4.656
Ni 9.619 1.570 1.095
Ni 9.176 1.026 3.446
Ni 6.401 -1.024 1.801
Ni 6.082 -1.297 4.297
Ni 7.926 0.000 0.000
Ni 7.926 0.000 5.617
Ni 9.770 1.297 6.937
Ni 9.452 1.024 9.433
Ni 6.677 -1.026 7.788
Ni 6.234 -1.570 10.139
Ni 5.233 -2.577 6.578
Ni 11.890 2.106 8.425
Ni 5.233 -3.217 0.961
Ni 11.676 1.171 10.898
Ni 12.104 1.171 5.952
Ni 9.176 -1.026 7.788
Ni 9.452 -1.024 1.801
Ni 9.770 -1.297 4.297
Ni 7.926 -2.725 3.239
Ni 9.619 -1.570 10.139
Ni 6.234 -4.224 4.522
Ni 7.926 -3.069 8.855
Ni 14.009 1.297 9.914
Ni 14.327 1.024 7.418
Ni 6.677 -4.767 2.171
Ni 11.676 -1.171 0.335
Ni 12.104 -1.171 5.281
Ni 10.620 -2.577 6.578
Ni 11.890 -2.106 2.808
Ni 10.620 -3.217 0.961
Ni 9.619 -4.224 4.522
Ni 9.176 -4.767 2.171
Ni 14.327 -1.024 3.816
Ni 14.009 -1.297 1.320
B 7.926 5.285 7.555
B 4.751 2.902 6.735
B 4.751 2.892 1.118
B 7.926 5.115 2.234
B 2.353 0.627 0.573
B 5.881 2.905 8.355
B 5.881 2.888 2.738
B 2.138 0.000 5.617
B 2.353 -0.627 10.661
B 5.573 0.627 5.044
B 5.789 0.000 0.000
B 9.972 2.905 8.355
B 9.972 2.888 2.738
B 5.573 -0.627 6.189
B 7.926 0.679 7.851
B 11.102 2.902 6.735
B 11.102 2.892 1.118
B 7.926 0.508 1.938
B 7.926 -0.508 9.296
B 4.751 -2.892 10.115
B 4.751 -2.902 4.498
B 7.926 -0.679 3.382
B 10.280 0.627 5.044
B 5.881 -2.888 8.496
B 5.881 -2.905 2.879
B 10.064 0.000 0.000
B 10.280 -0.627 6.189
B 13.500 0.627 0.573
B 13.715 0.000 5.617
B 9.972 -2.888 8.496
B 9.972 -2.905 2.879
B 13.500 -0.627 10.661
B 7.926 -5.115 8.999
B 11.102 -2.892 10.115
B 11.102 -2.902 4.498
B 7.926 -5.285 3.679
```

---

3.
An optimized crystal structure of MgMn2S4. Source: Materials Project, functional PBE.

Space-group type: Pm
Final energy in eV per atom: -5.9418
Offset from the most stable computed form in kcal/mol of atoms: 0.34
Total moment in μB per atom: 1.1421
Energy relative to the elements in eV/atom: -1.019

Cell and atoms, written as extended XYZ:
```
7
Lattice="6.091 0.000 0.000 0.000 3.423 0.000 -0.318 0.000 6.442" Properties=species:S:1:pos:R:3 pbc="T T T"
Mg 0.000 0.000 0.000
Mn 0.025 1.712 3.167
Mn 3.074 0.000 0.130
S 1.077 0.000 4.372
S 1.724 1.712 1.115
S 4.011 1.712 5.512
S 4.848 0.000 2.186
```

---

> What is the total moment in the first record?

0.0110 μB per atom